# Ca3RhN3

A relaxed Ca3RhN3 crystal (GGA-PBE, the Materials Project).

Cell: 7.3464 7.3455 4.9720 Å, 90.00 90.00 119.71°
Atoms (fractional coordinates):
Ca  0.9060  0.6361  0.2500
Ca  0.7364  0.0942  0.2500
Ca  0.3596  0.2665  0.2500
Ca  0.0940  0.3639  0.7500
Ca  0.2636  0.9058  0.7500
Ca  0.6404  0.7335  0.7500
Rh  0.6656  0.3318  0.7500
Rh  0.3344  0.6682  0.2500
N  0.9002  0.6117  0.7500
N  0.7171  0.0996  0.7500
N  0.3839  0.2843  0.7500
N  0.0998  0.3883  0.2500
N  0.2829  0.9004  0.2500
N  0.6161  0.7157  0.2500

## Properties
Energy of formation from the pure elements: -0.743 eV/atom
VASP energy: -85.0 eV per cell
Space group: P2_1/m